Density functional theory data (PBE) for a relaxed UGa5Fe crystal.

Unit cell a=4.2826 b=4.2826 c=6.6964 alpha=90.00 beta=90.00 gamma=90.00
Sites, in units of the cell vectors:
1 U 0.0000 0.0000 0.0000
2 Ga 0.0000 0.5000 0.3082
3 Ga 0.0000 0.5000 0.6918
4 Ga 0.5000 0.0000 0.3082
5 Ga 0.5000 0.0000 0.6918
6 Ga 0.5000 0.5000 0.0000
7 Fe 0.0000 0.0000 0.5000

Results
* space group: No. 123
* energy relative to the elements: -25.8 kJ per mole of atoms